Record 1
MgCo4Ge6 | r²SCAN | relaxed

**Theoretical density**: 7.22 Mg/m³
**Symmetry**: I-42m, No. 121
**Total energy**: -12.900 eV per atom

a = 6.090 Å, b = 6.090 Å, c = 6.090 Å
α = 119.89°, β = 119.89°, γ = 90.18°
Positions (direct):
Mg  0.000  0.000  0.000
Co  0.240  0.602  0.000
Co  0.398  0.398  0.638
Co  0.602  0.240  0.000
Co  0.760  0.760  0.362
Ge  0.000  0.500  0.500
Ge  0.129  0.129  0.668
Ge  0.461  0.461  0.332
Ge  0.500  0.000  0.500
Ge  0.539  0.871  0.000
Ge  0.871  0.539  0.000

=====

Record 2
Nb6Co16Ge7 | r²SCAN | relaxed

**Theoretical density**: 9.18 Mg/m³
**Symmetry**: Fm-3m, No. 225
**Total energy**: -15.967 eV per atom

a = 8.009 Å, b = 8.009 Å, c = 8.009 Å
α = 60.00°, β = 60.00°, γ = 60.00°
Positions (direct):
Nb  0.204  0.204  0.796
Nb  0.204  0.796  0.204
Nb  0.204  0.796  0.796
Nb  0.796  0.204  0.204
Nb  0.796  0.204  0.796
Nb  0.796  0.796  0.204
Co  0.141  0.620  0.620
Co  0.168  0.168  0.168
Co  0.168  0.168  0.497
Co  0.168  0.497  0.168
Co  0.380  0.380  0.380
Co  0.380  0.380  0.859
Co  0.380  0.859  0.380
Co  0.497  0.168  0.168
Co  0.503  0.832  0.832
Co  0.620  0.141  0.620
Co  0.620  0.620  0.141
Co  0.620  0.620  0.620
Co  0.832  0.503  0.832
Co  0.832  0.832  0.503
Co  0.832  0.832  0.832
Co  0.859  0.380  0.380
Ge  0.000  0.000  0.500
Ge  0.000  0.500  0.000
Ge  0.000  0.500  0.500
Ge  0.500  0.000  0.000
Ge  0.500  0.000  0.500
Ge  0.500  0.500  0.000
Ge  0.500  0.500  0.500

=====

Record 3
Nb2Co3Ge | r²SCAN | relaxed

**Theoretical density**: 9.25 Mg/m³
**Symmetry**: P6_3/mmc, No. 194
**Total energy**: -17.368 eV per atom

a = 4.865 Å, b = 4.865 Å, c = 7.620 Å
α = 90.00°, β = 90.00°, γ = 120.00°
Positions (direct):
Nb  0.333  0.667  0.061
Nb  0.333  0.667  0.439
Nb  0.667  0.333  0.561
Nb  0.667  0.333  0.939
Co  0.172  0.343  0.750
Co  0.172  0.828  0.750
Co  0.343  0.172  0.250
Co  0.657  0.828  0.750
Co  0.828  0.172  0.250
Co  0.828  0.657  0.250
Ge  0.000  0.000  0.000
Ge  0.000  0.000  0.500